Here is Pb5W3O9F10 after structural relaxation from the Materials Project. Energies are from GGA+U.

For the electronic total energy, the calculation gives -5.91 eV per atom.

a = 7.582 Å, b = 11.373 Å, c = 11.266 Å
α = 95.97°, β = 109.13°, γ = 71.15°
Fractional positions:
F: 0.236 0.523 0.008
Pb: 0.714 0.839 0.311
Pb: 0.764 0.499 0.508
O: 0.454 0.648 0.546
W: 0.357 0.819 0.538
F: 0.900 0.712 0.541
O: 0.400 0.909 0.148
O: 0.342 0.836 0.944
F: 0.358 0.536 0.275
F: 0.269 0.613 0.802
O: 0.785 0.139 0.355
O: 0.132 0.069 0.829
W: 0.636 0.176 0.458
O: 0.569 0.638 0.155
F: 0.127 0.801 0.385
F: 0.086 0.283 0.465
Pb: 0.231 0.720 0.162
F: 0.462 0.805 0.382
W: 0.747 0.004 0.997
F: 0.874 0.209 0.607
O: 0.904 0.551 0.355
O: 0.220 0.842 0.649
O: 0.923 0.646 0.145
O: 0.572 0.855 0.640
W: 0.178 0.461 0.824
O: 0.193 0.159 0.083
F: 0.229 0.004 0.483
F: 0.854 0.929 0.170
F: 0.650 0.074 0.823
O: 0.008 0.979 0.999
W: 0.243 0.014 0.994
O: 0.063 0.355 0.853
Pb: 0.058 0.167 0.283
F: 0.930 0.613 0.802
F: 0.615 0.455 0.701
Pb: 0.928 0.837 0.710
O: 0.105 0.446 0.650
O: 0.541 0.348 0.432
Pb: 0.400 0.337 0.171
F: 0.767 0.833 0.924
W: 0.820 0.538 0.182
F: 0.536 0.207 0.611
F: 0.083 0.390 0.205
O: 0.427 0.360 0.859
F: 0.743 0.384 0.208
F: 0.739 0.175 0.069
O: 0.422 0.139 0.356
Pb: 0.552 0.688 0.850
O: 0.493 0.035 0.994
F: 0.758 0.475 0.000
F: 0.763 0.998 0.530
Pb: 0.225 0.160 0.672
Pb: 0.266 0.496 0.504
Pb: 0.766 0.289 0.834

---

Here is LiMo3O9 after structural relaxation from the Materials Project. Energies are from GGA+U.

For the electronic total energy, the calculation gives -6.88 eV per atom.

a = 7.588 Å, b = 13.460 Å, c = 16.018 Å
α = 103.29°, β = 96.67°, γ = 106.93°
Fractional positions:
O: 0.532 0.090 0.416
O: 0.325 0.520 0.707
O: 0.442 0.781 0.712
Mo: 0.394 0.578 0.896
O: 0.301 0.003 0.712
O: 0.174 0.879 0.440
O: 0.106 0.801 0.147
O: 0.482 0.200 0.852
Mo: 0.021 0.360 0.884
O: 0.939 0.710 0.868
O: 0.121 0.068 0.857
O: 0.955 0.296 0.711
O: 0.260 0.335 0.859
O: 0.061 0.395 0.996
O: 0.295 0.594 0.557
Mo: 0.979 0.640 0.116
O: 0.395 0.984 0.146
O: 0.647 0.758 0.567
O: 0.696 0.921 0.437
O: 0.518 0.800 0.148
Mo: 0.499 0.666 0.162
Mo: 0.747 0.040 0.402
O: 0.304 0.079 0.563
O: 0.248 0.897 0.860
O: 0.556 0.506 0.859
Li: 0.762 0.978 0.593
O: 0.699 0.997 0.288
Li: 0.606 0.761 0.402
O: 0.450 0.700 0.869
Mo: 0.270 0.470 0.596
Mo: 0.863 0.055 0.837
O: 0.184 0.989 0.277
O: 0.752 0.103 0.140
O: 0.566 0.391 0.989
O: 0.939 0.605 0.004
O: 0.452 0.303 0.724
O: 0.826 0.121 0.560
O: 0.020 0.095 0.419
Mo: 0.253 0.960 0.598
O: 0.829 0.600 0.560
O: 0.065 0.222 0.295
Mo: 0.758 0.464 0.603
O: 0.468 0.910 0.584
Mo: 0.111 0.245 0.406
O: 0.675 0.480 0.293
O: 0.489 0.448 0.573
O: 0.894 0.199 0.853
O: 0.133 0.506 0.860
O: 0.802 0.515 0.714
O: 0.434 0.102 0.993
O: 0.605 0.016 0.854
Mo: 0.619 0.940 0.119
O: 0.816 0.011 0.723
Li: 0.469 0.143 0.132
O: 0.149 0.772 0.566
Mo: 0.242 0.536 0.397
O: 0.705 0.406 0.443
O: 0.444 0.494 0.141
Li: 0.531 0.857 0.868
O: 0.073 0.899 0.011
Mo: 0.018 0.851 0.896
Li: 0.238 0.022 0.407
Mo: 0.594 0.238 0.398
O: 0.174 0.103 0.143
Mo: 0.606 0.422 0.104
O: 0.198 0.485 0.286
O: 0.851 0.228 0.434
O: 0.008 0.571 0.414
Mo: 0.501 0.334 0.838
O: 0.927 0.101 0.989
O: 0.774 0.384 0.855
Mo: 0.137 0.945 0.163
Li: 0.143 0.448 0.135
Mo: 0.910 0.265 0.598
Mo: 0.889 0.755 0.594
O: 0.992 0.429 0.586
O: 0.826 0.897 0.857
O: 0.226 0.616 0.145
O: 0.045 0.704 0.289
O: 0.558 0.219 0.288
O: 0.935 0.778 0.705
Mo: 0.982 0.149 0.104
O: 0.740 0.665 0.141
O: 0.675 0.297 0.573
Li: 0.394 0.239 0.598
Li: 0.857 0.552 0.865
O: 0.353 0.242 0.433
O: 0.171 0.400 0.440
O: 0.434 0.609 0.011
O: 0.980 0.905 0.581
Mo: 0.406 0.762 0.602
O: 0.548 0.697 0.276
O: 0.325 0.703 0.427
O: 0.162 0.299 0.570
O: 0.838 0.701 0.430
O: 0.511 0.552 0.427
Mo: 0.381 0.060 0.881
O: 0.061 0.290 0.132
O: 0.550 0.300 0.131
O: 0.879 0.932 0.143
Mo: 0.730 0.530 0.404
O: 0.867 0.494 0.140
Mo: 0.090 0.735 0.402
O: 0.566 0.898 0.007

---

Here is BeVO3 after structural relaxation from the Materials Project. Energies are from GGA+U.

For the electronic total energy, the calculation gives -6.49 eV per atom.

a = 3.429 Å, b = 3.429 Å, c = 3.429 Å
α = 90.00°, β = 90.00°, γ = 90.00°
Fractional positions:
Be: 0.500 0.500 0.500
O: 0.500 0.500 0.000
O: 0.000 0.500 0.500
V: 0.000 0.000 0.000
O: 0.500 0.000 0.500

---

Here is Li4Mn3Ni3Sb2O16 after structural relaxation from the Materials Project. Energies are from GGA+U.

For the electronic total energy, the calculation gives -6.03 eV per atom.

a = 5.922 Å, b = 5.922 Å, c = 9.603 Å
α = 88.83°, β = 88.83°, γ = 59.64°
Fractional positions:
Li: 0.329 0.329 0.594
O: 0.325 0.325 0.390
O: 0.481 0.481 0.153
Li: 0.002 0.002 0.507
O: 0.517 0.517 0.658
O: 0.032 0.470 0.154
Ni: 0.170 0.662 0.288
O: 0.336 0.844 0.403
O: 0.506 0.963 0.656
O: 0.170 0.674 0.904
O: 0.963 0.506 0.656
Sb: 0.672 0.672 0.509
O: 0.656 0.656 0.890
Mn: 0.340 0.832 0.786
O: 0.169 0.169 0.900
O: 0.009 0.009 0.696
O: 0.674 0.170 0.904
Li: 0.999 0.999 0.013
Ni: 0.662 0.170 0.288
O: 0.008 0.008 0.199
O: 0.844 0.336 0.403
Mn: 0.832 0.340 0.786
Mn: 0.172 0.172 0.285
O: 0.840 0.840 0.411
Li: 0.661 0.661 0.102
Sb: 0.339 0.339 0.016
O: 0.470 0.032 0.154
Ni: 0.830 0.830 0.786